Here is a geometry-optimized Zr5GaSn3 structure from the Materials Project. Energies are from meta-GGA r2SCAN.

a = 8.6934 Å, b = 8.6934 Å, c = 5.8969 Å
α = 90.00°, β = 90.00°, γ = 120.00°
With the nearest neighbours (Å) after each atom.
Sites, in units of the cell vectors:
Zr: 0.0000 0.2649 0.2500  2 Ga 2.73, 3 Sn 2.99-3.01
Zr: 0.0000 0.7351 0.7500  2 Ga 2.73, 3 Sn 2.99-3.01
Zr: 0.2649 0.0000 0.2500  2 Ga 2.73, 3 Sn 2.99-3.01
Zr: 0.2649 0.2649 0.7500  2 Ga 2.73, 3 Sn 2.99-3.01
Zr: 0.3333 0.6667 0.0000  2 Zr 2.95, 6 Sn 3.07
Zr: 0.3333 0.6667 0.5000  2 Zr 2.95, 6 Sn 3.07
Zr: 0.6667 0.3333 0.0000  2 Zr 2.95, 6 Sn 3.07
Zr: 0.6667 0.3333 0.5000  2 Zr 2.95, 6 Sn 3.07
Zr: 0.7351 0.0000 0.7500  2 Ga 2.73, 3 Sn 2.99-3.01
Zr: 0.7351 0.7351 0.2500  2 Ga 2.73, 3 Sn 2.99-3.01
Ga: 0.0000 0.0000 0.0000  6 Zr 2.73, 2 Ga 2.95
Ga: 0.0000 0.0000 0.5000  6 Zr 2.73, 2 Ga 2.95
Sn: 0.0000 0.3886 0.7500  9 Zr 2.99-3.14
Sn: 0.0000 0.6114 0.2500  9 Zr 2.99-3.14
Sn: 0.3886 0.0000 0.7500  9 Zr 2.99-3.14
Sn: 0.3886 0.3886 0.2500  9 Zr 2.99-3.14
Sn: 0.6114 0.0000 0.2500  9 Zr 2.99-3.14
Sn: 0.6114 0.6114 0.7500  9 Zr 2.99-3.14

The calculated total energy comes out at -22.892 eV per atom. The calculation puts the energy of formation at -0.73 eV/atom.


Here is a geometry-optimized TaGa3 structure from the Materials Project. Energies are from meta-GGA r2SCAN.

a = 5.0940 Å, b = 5.0940 Å, c = 5.0940 Å
α = 136.32°, β = 136.32°, γ = 63.49°
With the nearest neighbours (Å) after each atom.
Sites, in units of the cell vectors:
Ta: 0.0000 0.0000 0.0000  12 Ga 2.68-2.88
Ga: 0.2500 0.7500 0.5000  8 Ga 2.68-2.88, 4 Ta 2.88
Ga: 0.5000 0.5000 0.0000  4 Ta 2.68, 8 Ga 2.88
Ga: 0.7500 0.2500 0.5000  8 Ga 2.68-2.88, 4 Ta 2.88

The calculated total energy comes out at -20.931 eV per atom. The calculation puts the energy of formation at -0.20 eV/atom.


Here is a geometry-optimized Ta5Ga3 structure from the Materials Project. Energies are from meta-GGA r2SCAN.

a = 7.6555 Å, b = 7.6555 Å, c = 7.6555 Å
α = 96.39°, β = 96.39°, γ = 141.03°
With the nearest neighbours (Å) after each atom.
Sites, in units of the cell vectors:
Ta: 0.0755 0.7782 0.8537  6 Ga 2.70-2.95, 3 Ta 2.93-2.98
Ta: 0.2218 0.0755 0.2972  6 Ga 2.70-2.95, 3 Ta 2.93-2.98
Ta: 0.2500 0.7500 0.5000  2 Ta 2.55, 4 Ga 2.71
Ta: 0.2782 0.5755 0.8537  6 Ga 2.70-2.95, 3 Ta 2.93-2.98
Ta: 0.4245 0.2782 0.7028  6 Ga 2.70-2.95, 3 Ta 2.93-2.98
Ta: 0.5755 0.7218 0.2972  6 Ga 2.70-2.95, 3 Ta 2.93-2.98
Ta: 0.7218 0.4245 0.1463  6 Ga 2.70-2.95, 3 Ta 2.93-2.98
Ta: 0.7500 0.2500 0.5000  2 Ta 2.55, 4 Ga 2.71
Ta: 0.7782 0.9245 0.7028  6 Ga 2.70-2.95, 3 Ta 2.93-2.98
Ta: 0.9245 0.2218 0.1463  6 Ga 2.70-2.95, 3 Ta 2.93-2.98
Ga: 0.1656 0.3344 0.5000  10 Ta 2.70-2.95
Ga: 0.2500 0.2500 0.0000  2 Ga 2.55, 8 Ta 2.71
Ga: 0.3344 0.8344 0.1688  10 Ta 2.70-2.95
Ga: 0.6656 0.1656 0.8312  10 Ta 2.70-2.95
Ga: 0.7500 0.7500 0.0000  2 Ga 2.55, 8 Ta 2.71
Ga: 0.8344 0.6656 0.5000  10 Ta 2.70-2.95

The calculated total energy comes out at -34.979 eV per atom. The calculation puts the energy of formation at -0.32 eV/atom.


Here is a geometry-optimized TbGa3 structure from the Materials Project. Energies are from meta-GGA r2SCAN.

a = 4.2551 Å, b = 4.2551 Å, c = 4.2551 Å
α = 90.00°, β = 90.00°, γ = 90.00°
With the nearest neighbours (Å) after each atom.
Sites, in units of the cell vectors:
Tb: 0.0000 0.0000 0.0000  12 Ga 3.01
Ga: 0.0000 0.5000 0.5000  4 Tb 3.01, 8 Ga 3.01
Ga: 0.5000 0.0000 0.5000  4 Tb 3.01, 8 Ga 3.01
Ga: 0.5000 0.5000 0.0000  4 Tb 3.01, 8 Ga 3.01

The calculated total energy comes out at -16.943 eV per atom. The calculation puts the energy of formation at -0.55 eV/atom.


Here is a geometry-optimized Tb3Ga5 structure from the Materials Project. Energies are from meta-GGA r2SCAN.

a = 11.4503 Å, b = 9.6423 Å, c = 6.1153 Å
α = 90.00°, β = 90.00°, γ = 90.00°
With the nearest neighbours (Å) after each atom.
Sites, in units of the cell vectors:
Tb: 0.0773 0.2500 0.1511  8 Ga 2.85-3.18
Tb: 0.1487 0.5101 0.6115  10 Ga 2.98-3.32
Tb: 0.1487 0.9899 0.6115  10 Ga 2.98-3.32
Tb: 0.3513 0.0101 0.1115  10 Ga 2.98-3.32
Tb: 0.3513 0.4899 0.1115  10 Ga 2.98-3.32
Tb: 0.4227 0.7500 0.6511  8 Ga 2.85-3.18
Tb: 0.5773 0.2500 0.3489  8 Ga 2.85-3.18
Tb: 0.6487 0.5101 0.8885  10 Ga 2.98-3.32
Tb: 0.6487 0.9899 0.8885  10 Ga 2.98-3.32
Tb: 0.8513 0.0101 0.3885  10 Ga 2.98-3.32
Tb: 0.8513 0.4899 0.3885  10 Ga 2.98-3.32
Tb: 0.9227 0.7500 0.8489  8 Ga 2.85-3.18
Ga: 0.0040 0.2500 0.6308  3 Ga 2.62-2.88
Ga: 0.0896 0.5543 0.1282  4 Ga 2.62-2.86
Ga: 0.0896 0.9457 0.1282  4 Ga 2.62-2.86
Ga: 0.1968 0.7500 0.9060  3 Ga 2.61-2.63
Ga: 0.2463 0.7500 0.3223  4 Ga 2.61-2.88, 1 Tb 2.85
Ga: 0.2537 0.2500 0.8223  4 Ga 2.61-2.88, 1 Tb 2.85
Ga: 0.3032 0.2500 0.4060  3 Ga 2.61-2.63
Ga: 0.4104 0.0543 0.6282  4 Ga 2.62-2.86
Ga: 0.4104 0.4457 0.6282  4 Ga 2.62-2.86
Ga: 0.4960 0.7500 0.1308  3 Ga 2.62-2.88
Ga: 0.5040 0.2500 0.8692  3 Ga 2.62-2.88
Ga: 0.5896 0.5543 0.3718  4 Ga 2.62-2.86
Ga: 0.5896 0.9457 0.3718  4 Ga 2.62-2.86
Ga: 0.6968 0.7500 0.5940  3 Ga 2.61-2.63
Ga: 0.7463 0.7500 0.1777  4 Ga 2.61-2.88, 1 Tb 2.85
Ga: 0.7537 0.2500 0.6777  4 Ga 2.61-2.88, 1 Tb 2.85
Ga: 0.8032 0.2500 0.0940  3 Ga 2.61-2.63
Ga: 0.9104 0.0543 0.8718  4 Ga 2.62-2.86
Ga: 0.9104 0.4457 0.8718  4 Ga 2.62-2.86
Ga: 0.9960 0.7500 0.3692  3 Ga 2.62-2.88

The calculated total energy comes out at -19.611 eV per atom. The calculation puts the energy of formation at -0.75 eV/atom.


Here is a geometry-optimized TbGa6 structure from the Materials Project. Energies are from meta-GGA r2SCAN.

a = 5.9170 Å, b = 5.9170 Å, c = 7.5230 Å
α = 90.00°, β = 90.00°, γ = 90.00°
With the nearest neighbours (Å) after each atom.
Sites, in units of the cell vectors:
Tb: 0.2500 0.7500 0.0000  12 Ga 3.06-3.20
Tb: 0.7500 0.2500 0.0000  12 Ga 3.06-3.20
Ga: 0.0642 0.5642 0.3497  3 Ga 2.50-2.58
Ga: 0.0642 0.9358 0.6503  3 Ga 2.50-2.58
Ga: 0.2500 0.2500 0.1609  5 Ga 2.42-2.58
Ga: 0.2500 0.2500 0.8391  5 Ga 2.42-2.58
Ga: 0.4358 0.5642 0.6503  3 Ga 2.50-2.58
Ga: 0.4358 0.9358 0.3497  3 Ga 2.50-2.58
Ga: 0.5642 0.0642 0.6503  3 Ga 2.50-2.58
Ga: 0.5642 0.4358 0.3497  3 Ga 2.50-2.58
Ga: 0.7500 0.7500 0.1609  5 Ga 2.42-2.58
Ga: 0.7500 0.7500 0.8391  5 Ga 2.42-2.58
Ga: 0.9358 0.0642 0.3497  3 Ga 2.50-2.58
Ga: 0.9358 0.4358 0.6503  3 Ga 2.50-2.58

The calculated total energy comes out at -14.630 eV per atom. The calculation puts the energy of formation at -0.36 eV/atom.


> Among the records above, which one has the lowest calculated total energy?

Ta5Ga3


> Among the records above, which one has the lowest calculated total energy?

Ta5Ga3